Crystalline LiMo2PO8 at its relaxed geometry, computed with GGA+U.

a = 5.366 Å, b = 6.789 Å, c = 17.920 Å
α = 89.08°, β = 90.00°, γ = 90.00°
Atoms (fractional coordinates):
1 Li 0.789 0.741 0.782
2 Li 0.289 0.259 0.218
3 Li 0.788 0.754 0.292
4 Li 0.288 0.246 0.708
5 Mo 0.729 0.842 0.453
6 Mo 0.230 0.340 0.048
7 Mo 0.229 0.158 0.547
8 Mo 0.737 0.994 0.122
9 Mo 0.730 0.660 0.952
10 Mo 0.237 0.006 0.878
11 Mo 0.225 0.498 0.375
12 Mo 0.725 0.502 0.625
13 P 0.219 0.697 0.190
14 P 0.727 0.196 0.306
15 P 0.719 0.303 0.810
16 P 0.227 0.804 0.694
17 O 0.461 0.528 0.991
18 O 0.458 0.328 0.607
19 O 0.745 0.002 0.352
20 O 0.684 0.134 0.224
21 O 0.405 0.845 0.160
22 O 0.741 0.838 0.042
23 O 0.718 0.661 0.545
24 O 0.019 0.796 0.916
25 O 0.241 0.162 0.958
26 O 0.961 0.472 0.009
27 O 0.447 0.218 0.810
28 O 0.218 0.339 0.455
29 O 0.947 0.782 0.190
30 O 0.280 0.646 0.273
31 O 0.231 0.496 0.149
32 O 0.470 0.683 0.689
33 O 0.958 0.672 0.393
34 O 0.029 0.146 0.109
35 O 0.731 0.504 0.851
36 O 0.245 0.998 0.648
37 O 0.529 0.854 0.891
38 O 0.990 0.689 0.675
39 O 0.970 0.317 0.311
40 O 0.469 0.685 0.412
41 O 0.969 0.315 0.588
42 O 0.519 0.204 0.084
43 O 0.905 0.155 0.840
44 O 0.780 0.354 0.727
45 O 0.474 0.013 0.503
46 O 0.974 0.987 0.497
47 O 0.490 0.311 0.325
48 O 0.184 0.866 0.776

## Properties
Its total magnetic moment is 2.00 μB/f.u. The value obtained for the formation energy is -27.103 eV/f.u. The space group is P2_1, No. 4.

***

Crystalline LiMnP3O9 at its relaxed geometry, computed with GGA+U.

a = 5.192 Å, b = 11.824 Å, c = 12.179 Å
α = 90.00°, β = 90.00°, γ = 90.00°
Atoms (fractional coordinates):
1 Li 0.000 0.000 0.000
2 Li 0.000 0.000 0.500
3 Li 0.000 0.500 0.000
4 Li 0.000 0.500 0.500
5 Mn 0.979 0.250 0.078
6 Mn 0.979 0.750 0.422
7 Mn 0.021 0.250 0.578
8 Mn 0.021 0.750 0.922
9 P 0.234 0.000 0.750
10 P 0.234 0.500 0.750
11 P 0.514 0.634 0.071
12 P 0.514 0.134 0.429
13 P 0.514 0.866 0.071
14 P 0.514 0.366 0.429
15 P 0.486 0.634 0.571
16 P 0.486 0.366 0.929
17 P 0.486 0.134 0.929
18 P 0.486 0.866 0.571
19 P 0.766 0.000 0.250
20 P 0.766 0.500 0.250
21 O 0.092 0.097 0.699
22 O 0.092 0.403 0.699
23 O 0.092 0.597 0.801
24 O 0.092 0.903 0.801
25 O 0.244 0.126 0.474
26 O 0.244 0.626 0.026
27 O 0.244 0.374 0.474
28 O 0.244 0.874 0.026
29 O 0.266 0.129 0.010
30 O 0.266 0.371 0.010
31 O 0.266 0.871 0.490
32 O 0.266 0.629 0.490
33 O 0.466 0.250 0.859
34 O 0.466 0.750 0.641
35 O 0.453 0.543 0.664
36 O 0.453 0.043 0.836
37 O 0.453 0.957 0.664
38 O 0.453 0.457 0.836
39 O 0.547 0.543 0.164
40 O 0.547 0.043 0.336
41 O 0.547 0.457 0.336
42 O 0.547 0.957 0.164
43 O 0.534 0.750 0.141
44 O 0.534 0.250 0.359
45 O 0.734 0.371 0.510
46 O 0.734 0.629 0.990
47 O 0.734 0.129 0.510
48 O 0.734 0.871 0.990
49 O 0.756 0.874 0.526
50 O 0.756 0.626 0.526
51 O 0.756 0.374 0.974
52 O 0.756 0.126 0.974
53 O 0.908 0.403 0.199
54 O 0.908 0.597 0.301
55 O 0.908 0.097 0.199
56 O 0.908 0.903 0.301

## Properties
Its total magnetic moment is 5.00 μB/f.u. The value obtained for the formation energy is -35.980 eV/f.u. The space group is Pbcm, No. 57.

***

Crystalline Li2TiFeO4 at its relaxed geometry, computed with GGA+U.

a = 5.265 Å, b = 5.981 Å, c = 10.355 Å
α = 73.48°, β = 80.78°, γ = 90.07°
Atoms (fractional coordinates):
1 Li 0.500 0.750 0.500
2 Li 0.500 0.250 0.500
3 Li 0.001 0.504 0.993
4 Li 0.999 0.996 0.007
5 Li 0.500 0.250 0.000
6 Li 0.500 0.750 0.000
7 Li 0.000 0.000 0.500
8 Li 0.000 0.500 0.500
9 Ti 0.229 0.379 0.243
10 Ti 0.270 0.871 0.256
11 Ti 0.771 0.121 0.757
12 Ti 0.730 0.629 0.743
13 Fe 0.250 0.875 0.750
14 Fe 0.750 0.624 0.250
15 Fe 0.250 0.375 0.750
16 Fe 0.750 0.125 0.250
17 O 0.413 0.566 0.870
18 O 0.401 0.073 0.855
19 O 0.913 0.317 0.368
20 O 0.900 0.823 0.356
21 O 0.087 0.183 0.632
22 O 0.100 0.677 0.644
23 O 0.587 0.934 0.130
24 O 0.599 0.427 0.145
25 O 0.358 0.060 0.367
26 O 0.358 0.573 0.367
27 O 0.859 0.821 0.867
28 O 0.858 0.312 0.867
29 O 0.141 0.679 0.133
30 O 0.142 0.188 0.133
31 O 0.642 0.440 0.633
32 O 0.642 0.927 0.633

## Properties
Its total magnetic moment is 0.00 μB/f.u. The value obtained for the formation energy is -20.541 eV/f.u. The space group is P-1, No. 2.

***

Crystalline Li9Mn2Co5O16 at its relaxed geometry, computed with GGA+U.

a = 4.975 Å, b = 5.947 Å, c = 9.707 Å
α = 82.76°, β = 86.14°, γ = 88.39°
Atoms (fractional coordinates):
1 Li 0.617 0.930 0.254
2 Li 0.382 0.563 0.746
3 Li 0.121 0.183 0.253
4 Li 0.118 0.690 0.254
5 Li 0.873 0.317 0.748
6 Li 0.627 0.443 0.255
7 Li 0.379 0.066 0.746
8 Li 0.879 0.806 0.746
9 Li 0.750 0.625 0.499
10 Mn 0.999 0.001 0.000
11 Mn 0.752 0.122 0.502
12 Co 0.499 0.253 0.000
13 Co 0.257 0.868 0.498
14 Co 0.000 0.500 0.000
15 Co 0.500 0.748 0.000
16 Co 0.250 0.380 0.500
17 O 0.801 0.206 0.118
18 O 0.552 0.866 0.609
19 O 0.301 0.476 0.115
20 O 0.305 0.977 0.115
21 O 0.099 0.606 0.605
22 O 0.802 0.697 0.119
23 O 0.561 0.334 0.612
24 O 0.052 0.072 0.616
25 O 0.419 0.682 0.381
26 O 0.196 0.304 0.882
27 O 0.944 0.916 0.390
28 O 0.940 0.379 0.393
29 O 0.694 0.025 0.884
30 O 0.431 0.149 0.394
31 O 0.198 0.793 0.883
32 O 0.701 0.526 0.883

## Properties
Its total magnetic moment is 12.00 μB/f.u. The value obtained for the formation energy is -58.511 eV/f.u. The space group is P1, No. 1.